No. 1
## PdI2 (r2SCAN)

Data for PdI2 after structural relaxation. Values from VASP.

Quantum ESPRESSO input file:
```
&SYSTEM
  ibrav = 0, nat = 6, ntyp = 2
/
ATOMIC_SPECIES
Pd 106.42 Pd.upf
I 126.90 I.upf
CELL_PARAMETERS angstrom
3.884 0.000 0.000
0.000 7.000 0.000
0.000 0.000 7.985
ATOMIC_POSITIONS angstrom
Pd 0.000 0.000 0.000
Pd 1.942 3.500 3.992
I 0.000 2.122 2.869
I 1.942 5.622 1.123
I 1.942 1.378 6.861
I 0.000 4.878 5.116
```

Summary:
The final energy is -24.30 eV/atom.


No. 2
## PrAl3 (r2SCAN)

Data for PrAl3 after structural relaxation. Values from VASP.

Quantum ESPRESSO input file:
```
&SYSTEM
  ibrav = 0, nat = 8, ntyp = 2
/
ATOMIC_SPECIES
Pr 140.91 Pr.upf
Al 26.98 Al.upf
CELL_PARAMETERS angstrom
6.567 0.000 0.000
-3.283 5.687 0.000
0.000 0.000 4.605
ATOMIC_POSITIONS angstrom
Pr 3.283 1.896 3.454
Pr 0.000 3.791 1.151
Al 0.000 1.570 3.454
Al 5.207 0.785 1.151
Al 3.283 4.117 1.151
Al -1.924 4.902 3.454
Al 1.924 4.902 3.454
Al 1.360 0.785 1.151
```

Summary:
The final energy is -12.88 eV/atom.


No. 3
## NdSiPd (r2SCAN)

Data for NdSiPd after structural relaxation. Values from VASP.

Quantum ESPRESSO input file:
```
&SYSTEM
  ibrav = 0, nat = 36, ntyp = 3
/
ATOMIC_SPECIES
Nd 144.24 Nd.upf
Si 28.09 Si.upf
Pd 106.42 Pd.upf
CELL_PARAMETERS angstrom
-2.403 -2.297 2.894
5.790 -4.727 1.057
7.387 12.670 16.190
ATOMIC_POSITIONS angstrom
Nd 5.943 0.303 6.854
Nd 4.831 5.343 13.287
Nd 0.626 -0.574 5.099
Nd 10.148 6.221 15.042
Nd 5.236 -2.232 4.254
Nd 5.538 7.879 15.887
Nd 2.378 1.109 7.889
Nd 8.396 4.538 12.252
Nd 3.540 -3.918 1.509
Nd 7.234 9.564 18.632
Nd 3.107 3.583 10.458
Nd 7.666 2.064 9.683
Si 0.460 -0.111 1.972
Si 10.314 5.757 18.169
Si 4.797 0.911 9.741
Si 5.977 4.736 10.400
Si 1.911 2.477 5.231
Si 8.863 3.170 14.910
Si 3.268 -1.613 6.468
Si 7.506 7.260 13.673
Si 2.803 4.008 7.186
Si 7.971 1.639 12.955
Si 2.375 -3.143 4.512
Si 8.399 8.789 15.629
Pd 3.571 0.451 5.002
Pd 7.203 5.195 15.139
Pd 5.458 -2.730 7.400
Pd 5.316 8.377 12.741
Pd 5.041 2.970 8.222
Pd 5.733 2.676 11.919
Pd 3.989 -5.250 4.181
Pd 6.785 10.897 15.961
Pd 2.531 -1.368 2.695
Pd 8.243 7.014 17.447
Pd 6.525 -0.934 9.712
Pd 4.249 6.580 10.429
```

Summary:
The final energy is -21.36 eV/atom.


No. 4
## Cs3Nb2S11 (r2SCAN)

Data for Cs3Nb2S11 after structural relaxation. Values from VASP.

Quantum ESPRESSO input file:
```
&SYSTEM
  ibrav = 0, nat = 64, ntyp = 3
/
ATOMIC_SPECIES
Cs 132.91 Cs.upf
Nb 92.91 Nb.upf
S 32.06 S.upf
CELL_PARAMETERS angstrom
8.284 0.000 0.000
0.000 12.223 0.042
0.000 4.368 19.434
ATOMIC_POSITIONS angstrom
Cs 2.648 15.817 16.321
Cs 5.636 0.774 3.154
Cs 5.456 6.253 2.764
Cs 1.543 9.937 2.300
Cs 1.314 8.154 6.994
Cs 6.790 2.958 12.871
Cs 6.741 6.654 17.176
Cs 5.684 4.470 7.459
Cs 2.828 10.338 16.711
Cs 1.494 13.633 6.605
Cs 2.599 12.121 12.017
Cs 6.970 8.438 12.481
Nb 7.106 12.357 16.384
Nb 2.965 6.418 12.808
Nb 5.999 14.197 19.366
Nb 2.284 2.395 0.109
Nb 5.319 10.173 6.667
Nb 1.177 4.234 3.091
Nb 1.858 4.579 9.826
Nb 6.426 12.012 9.649
S 4.344 13.177 8.891
S 3.093 4.616 0.779
S 1.049 6.800 10.496
S 5.147 4.328 19.176
S 8.201 13.299 18.525
S 7.370 10.935 5.544
S 2.318 8.767 13.229
S 6.423 12.372 6.697
S 3.714 13.421 18.882
S 3.601 10.533 5.288
S 4.781 8.113 7.920
S 4.682 6.058 14.188
S 3.137 12.263 0.299
S 4.569 3.170 0.593
S 7.645 10.297 17.636
S 4.225 11.115 8.808
S 3.503 8.478 11.556
S 2.017 6.961 17.340
S 0.202 1.230 0.868
S 0.639 6.294 1.839
S 0.083 3.292 0.951
S 6.460 10.009 15.964
S 3.939 3.414 10.585
S 5.965 7.824 6.247
S 7.279 2.144 9.459
S 0.914 5.656 13.932
S 6.002 14.556 16.414
S 5.191 11.976 18.696
S 5.056 13.120 15.260
S 3.228 3.471 4.215
S 2.281 2.035 3.062
S 7.235 9.791 8.979
S 0.541 12.718 15.005
S 6.159 11.815 11.853
S 0.428 11.236 9.166
S 4.059 5.476 10.668
S 1.005 14.447 10.016
S 1.861 4.219 12.779
S 8.081 15.362 18.608
S 7.856 5.355 10.310
S 6.266 9.631 2.136
S 7.743 3.874 4.471
S 2.125 4.776 7.623
S 1.823 6.583 3.512
```

Summary:
The final energy is -14.33 eV/atom.